A relaxed Sn17Os4 crystal, computed with PBE.

Cell: 7.0832 14.4599 19.4852 Å, 90.00 90.00 90.00°
Fractional coordinates of all 84 atoms:
Sn1 0.5591 0.0987 0.0034
Sn2 0.4409 0.9013 0.9966
Sn3 0.4409 0.9013 0.5034
Sn4 0.4409 0.5987 0.4966
Sn5 0.5591 0.0987 0.4966
Sn6 0.5591 0.4013 0.5034
Sn7 0.5591 0.4013 0.9966
Sn8 0.4409 0.5987 0.0034
Sn9 0.1365 0.0607 0.0731
Sn10 0.8635 0.9393 0.9269
Sn11 0.8635 0.9393 0.5731
Sn12 0.8635 0.5607 0.4269
Sn13 0.1365 0.0607 0.4269
Sn14 0.1365 0.4393 0.5731
Sn15 0.1365 0.4393 0.9269
Sn16 0.8635 0.5607 0.0731
Sn17 0.2089 0.6132 0.1720
Sn18 0.7911 0.3868 0.8280
Sn19 0.7911 0.3868 0.6720
Sn20 0.7911 0.1132 0.3280
Sn21 0.2089 0.6132 0.3280
Sn22 0.2089 0.8868 0.6720
Sn23 0.2089 0.8868 0.8280
Sn24 0.7911 0.1132 0.1720
Sn25 0.0485 0.3072 0.2500
Sn26 0.9515 0.6928 0.7500
Sn27 0.9515 0.8072 0.2500
Sn28 0.0485 0.1928 0.7500
Sn29 0.3725 0.1864 0.1714
Sn30 0.6275 0.8136 0.8286
Sn31 0.6275 0.8136 0.6714
Sn32 0.6275 0.6864 0.3286
Sn33 0.3725 0.1864 0.3286
Sn34 0.3725 0.3136 0.6714
Sn35 0.3725 0.3136 0.8286
Sn36 0.6275 0.6864 0.1714
Sn37 0.2584 0.2500 0.0000
Sn38 0.7416 0.7500 0.0000
Sn39 0.7416 0.7500 0.5000
Sn40 0.2584 0.2500 0.5000
Sn41 0.2248 0.0068 0.2500
Sn42 0.7752 0.9932 0.7500
Sn43 0.7752 0.5068 0.2500
Sn44 0.2248 0.4932 0.7500
Sn45 0.6830 0.3341 0.1502
Sn46 0.3170 0.6659 0.8498
Sn47 0.3170 0.6659 0.6502
Sn48 0.3170 0.8341 0.3498
Sn49 0.6830 0.3341 0.3498
Sn50 0.6830 0.1659 0.6502
Sn51 0.6830 0.1659 0.8498
Sn52 0.3170 0.8341 0.1502
Sn53 0.8311 0.2500 0.0000
Sn54 0.1689 0.7500 0.0000
Sn55 0.1689 0.7500 0.5000
Sn56 0.8311 0.2500 0.5000
Sn57 0.3710 0.4368 0.2500
Sn58 0.6290 0.5632 0.7500
Sn59 0.6290 0.9368 0.2500
Sn60 0.3710 0.0632 0.7500
Sn61 0.1684 0.4174 0.0901
Sn62 0.8316 0.5826 0.9099
Sn63 0.8316 0.5826 0.5901
Sn64 0.8316 0.9174 0.4099
Sn65 0.1684 0.4174 0.4099
Sn66 0.1684 0.0826 0.5901
Sn67 0.1684 0.0826 0.9099
Sn68 0.8316 0.9174 0.0901
Os1 0.4873 0.0032 0.1245
Os2 0.5127 0.9968 0.8755
Os3 0.5127 0.9968 0.6245
Os4 0.5127 0.5032 0.3755
Os5 0.4873 0.0032 0.3755
Os6 0.4873 0.4968 0.6245
Os7 0.4873 0.4968 0.8755
Os8 0.5127 0.5032 0.1245
Os9 0.0279 0.2440 0.1194
Os10 0.9721 0.7560 0.8806
Os11 0.9721 0.7560 0.6194
Os12 0.9721 0.7440 0.3806
Os13 0.0279 0.2440 0.3806
Os14 0.0279 0.2560 0.6194
Os15 0.0279 0.2560 0.8806
Os16 0.9721 0.7440 0.1194

Calculated values
- Magnetization: 0.00 μB/f.u.
- DFT formation energy: 0.025 eV per atom

***

A relaxed Th3Sn13Os4 crystal, computed with PBE.

Cell: 9.8227 9.8227 9.8227 Å, 90.00 90.00 90.00°
Fractional coordinates of all 40 atoms:
Th1 0.2500 0.0000 0.5000
Th2 0.7500 0.0000 0.5000
Th3 0.5000 0.2500 0.0000
Th4 0.5000 0.7500 0.0000
Th5 0.0000 0.5000 0.2500
Th6 0.0000 0.5000 0.7500
Sn1 0.0000 0.0000 0.0000
Sn2 0.5000 0.5000 0.5000
Sn3 0.0000 0.1526 0.3051
Sn4 0.0000 0.8474 0.6949
Sn5 0.0000 0.8474 0.3051
Sn6 0.0000 0.1526 0.6949
Sn7 0.3051 0.0000 0.1526
Sn8 0.6526 0.5000 0.1949
Sn9 0.6949 0.0000 0.8474
Sn10 0.3474 0.5000 0.8051
Sn11 0.3051 0.0000 0.8474
Sn12 0.3474 0.5000 0.1949
Sn13 0.6949 0.0000 0.1526
Sn14 0.6526 0.5000 0.8051
Sn15 0.1526 0.3051 0.0000
Sn16 0.5000 0.8051 0.3474
Sn17 0.8474 0.6949 0.0000
Sn18 0.5000 0.1949 0.6526
Sn19 0.1526 0.6949 0.0000
Sn20 0.5000 0.1949 0.3474
Sn21 0.8474 0.3051 0.0000
Sn22 0.5000 0.8051 0.6526
Sn23 0.1949 0.6526 0.5000
Sn24 0.8051 0.3474 0.5000
Sn25 0.1949 0.3474 0.5000
Sn26 0.8051 0.6526 0.5000
Os1 0.2500 0.2500 0.2500
Os2 0.7500 0.7500 0.7500
Os3 0.7500 0.7500 0.2500
Os4 0.7500 0.2500 0.7500
Os5 0.2500 0.2500 0.7500
Os6 0.2500 0.7500 0.2500
Os7 0.2500 0.7500 0.7500
Os8 0.7500 0.2500 0.2500

Calculated values
- Magnetization: 0.00 μB/f.u.
- DFT formation energy: -0.253 eV per atom

***

A relaxed Ta3Os crystal, computed with PBE.

Cell: 4.5791 4.5791 4.5791 Å, 60.00 60.00 60.00°
Fractional coordinates of all 4 atoms:
Ta1 0.2500 0.2500 0.2500
Ta2 0.7500 0.7500 0.7500
Ta3 0.5000 0.5000 0.5000
Os1 0.0000 0.0000 0.0000

Calculated values
- DFT formation energy: -0.264 eV per atom

***

A relaxed TaOs3 crystal, computed with PBE.

Cell: 5.6102 5.6102 4.4626 Å, 90.00 90.00 120.00°
Fractional coordinates of all 8 atoms:
Ta1 0.3333 0.6667 0.7500
Ta2 0.6667 0.3333 0.2500
Os1 0.1655 0.3310 0.2500
Os2 0.6690 0.8345 0.2500
Os3 0.1655 0.8345 0.2500
Os4 0.8345 0.6690 0.7500
Os5 0.3310 0.1655 0.7500
Os6 0.8345 0.1655 0.7500

Calculated values
- DFT formation energy: -0.114 eV per atom

***

A relaxed TaOs3 crystal, computed with PBE.

Cell: 3.9353 3.9353 3.9353 Å, 90.00 90.00 90.00°
Fractional coordinates of all 4 atoms:
Ta1 0.0000 0.0000 0.0000
Os1 0.0000 0.5000 0.5000
Os2 0.5000 0.0000 0.5000
Os3 0.5000 0.5000 0.0000

Calculated values
- DFT formation energy: -0.142 eV per atom

***

A relaxed TaOs3 crystal, computed with PBE.

Cell: 2.7876 2.7876 9.0870 Å, 90.00 90.00 120.00°
Fractional coordinates of all 4 atoms:
Ta1 0.6667 0.3333 0.0000
Os1 0.6667 0.3333 0.5000
Os2 0.3333 0.6667 0.2648
Os3 0.3333 0.6667 0.7352

Calculated values
- Magnetization: 0.00 μB/f.u.
- DFT formation energy: 0.025 eV per atom